# 1
## SmRu2 (meta-GGA r2SCAN)

Data for a relaxed structure of SmRu2.

Calculated values
Magnetic moment: 0.0 Bohr magnetons per cell
Electronic total energy: -81.3 eV/f.u.

The structure in extended XYZ format:
```
12
Lattice="-2.632 -4.560 0.000 -2.632 4.560 0.000 0.000 0.000 -9.063" Properties=species:S:1:pos:R:3 pbc="T T T"
Sm -2.632 -1.520 -5.144
Sm -2.632 1.520 -3.919
Sm -2.632 1.520 -0.613
Sm -2.632 -1.520 -8.451
Ru -2.632 -4.560 -4.531
Ru -2.632 -4.560 -0.001
Ru -1.338 0.772 -6.798
Ru -2.632 3.015 -6.798
Ru -3.927 0.772 -6.798
Ru -3.927 -0.772 -2.265
Ru -2.632 -3.016 -2.265
Ru -1.338 -0.772 -2.265
```



# 2
## Sm3Ru (meta-GGA r2SCAN)

Data for a relaxed structure of Sm3Ru.

Calculated values
Magnetic moment: 0.0 Bohr magnetons per cell
Electronic total energy: -115.6 eV/f.u.

The structure in extended XYZ format:
```
16
Lattice="6.451 -0.188 0.275 -0.160 3.746 6.312 -0.444 -8.170 4.837" Properties=species:S:1:pos:R:3 pbc="T T T"
Sm 1.972 1.917 4.678
Sm 0.896 -2.911 3.245
Sm 4.037 -3.545 4.980
Sm 4.789 -4.686 9.946
Sm 3.875 -6.530 6.747
Sm 4.951 -1.701 8.179
Sm 1.809 -1.067 6.444
Sm 1.058 0.073 1.479
Sm 5.355 -0.162 4.888
Sm 4.004 -1.993 1.671
Sm 0.491 -4.450 6.536
Sm 1.842 -2.619 9.754
Ru 0.004 1.276 6.824
Ru 2.794 -0.676 3.784
Ru 5.842 -5.888 4.600
Ru 3.052 -3.937 7.641
```



# 3
## SmRu2 (meta-GGA r2SCAN)

Data for a relaxed structure of SmRu2.

Calculated values
Magnetic moment: 0.8 Bohr magnetons per cell
Electronic total energy: -81.2 eV/f.u.

The structure in extended XYZ format:
```
6
Lattice="-2.866 -1.138 4.389 1.206 -4.317 2.946 2.188 0.596 4.861" Properties=species:S:1:pos:R:3 pbc="T T T"
Sm 0.462 -4.252 10.671
Sm 0.066 -0.607 1.524
Ru 0.264 -2.430 6.098
Ru -0.830 -2.728 3.667
Ru 1.697 -1.861 3.903
Ru -0.339 -0.271 4.625
```



# 4
## Sm3Sn13Ru4 (meta-GGA r2SCAN)

Data for a relaxed structure of Sm3Sn13Ru4.

Calculated values
Magnetic moment: 0.0 Bohr magnetons per cell
Electronic total energy: -520.9 eV/f.u.

The structure in extended XYZ format:
```
40
Lattice="-1.371 0.614 9.629 6.222 -7.377 1.356 7.374 6.338 0.646" Properties=species:S:1:pos:R:3 pbc="T T T"
Sm 3.344 3.322 2.730
Sm 8.881 -3.748 8.901
Sm 8.244 4.801 5.799
Sm 11.355 1.112 6.477
Sm 4.954 -2.104 0.839
Sm 7.271 1.679 10.791
Sn -1.371 0.614 9.629
Sn 6.112 -0.213 5.815
Sn 1.815 1.389 10.033
Sn 10.410 -1.815 1.598
Sn 6.117 -3.712 10.970
Sn 4.737 3.900 10.289
Sn 0.724 1.163 3.006
Sn 3.675 -2.031 7.106
Sn 5.280 5.789 7.268
Sn 8.550 1.606 4.525
Sn 5.823 5.546 3.453
Sn 4.098 -2.221 4.135
Sn 0.181 1.406 6.822
Sn 8.127 1.795 7.496
Sn 1.667 -2.132 1.894
Sn 6.853 -3.417 6.125
Sn 3.184 -4.631 9.090
Sn 5.372 2.992 5.506
Sn 4.132 -5.055 2.432
Sn 3.097 1.037 5.307
Sn 0.719 -1.708 8.553
Sn 9.128 -1.462 6.324
Sn 7.486 -1.536 3.118
Sn 4.739 1.110 8.513
Sn 5.567 0.740 2.699
Sn 6.658 -1.165 8.931
Ru 3.056 -0.106 2.908
Ru 9.169 -0.319 8.723
Ru 5.482 -3.488 8.400
Ru 6.058 3.369 8.045
Ru 6.743 3.063 3.231
Ru 6.167 -3.795 3.586
Ru 9.854 -0.626 3.909
Ru 2.371 0.200 7.722
```



# 5
## Sn2Ru (meta-GGA r2SCAN)

Data for a relaxed structure of Sn2Ru.

Calculated values
Magnetic moment: 0.0 Bohr magnetons per cell
Electronic total energy: -75.2 eV/f.u.

The structure in extended XYZ format:
```
6
Lattice="-1.374 -4.114 3.150 0.947 -1.300 -5.114 4.566 2.006 1.966" Properties=species:S:1:pos:R:3 pbc="T T T"
Sn 3.012 -1.282 2.878
Sn 2.379 -0.105 -0.229
Sn 1.760 -3.303 0.232
Sn 1.126 -2.126 -2.876
Ru -0.107 -1.353 -0.491
Ru -0.321 -4.060 -1.472
```



# 6
## ThSnRu2 (meta-GGA r2SCAN)

Data for a relaxed structure of ThSnRu2.

Calculated values
Magnetic moment: 0.0 Bohr magnetons per cell
Electronic total energy: -150.7 eV/f.u.

The structure in extended XYZ format:
```
4
Lattice="-3.952 1.066 2.492 -4.287 -0.124 -2.138 -3.134 -3.450 1.114" Properties=species:S:1:pos:R:3 pbc="T T T"
Th -8.529 -1.880 1.101
Sn -2.843 -0.627 0.367
Ru 0.000 0.000 0.000
Ru -5.686 -1.254 0.734
```



- The highest electronic total energy belongs to which entry?
  Sn2Ru



Please write out number 5 again, unchanged.
## Sn2Ru (meta-GGA r2SCAN)

Data for a relaxed structure of Sn2Ru.

Calculated values
Magnetic moment: 0.0 Bohr magnetons per cell
Electronic total energy: -75.2 eV/f.u.

The structure in extended XYZ format:
```
6
Lattice="-1.374 -4.114 3.150 0.947 -1.300 -5.114 4.566 2.006 1.966" Properties=species:S:1:pos:R:3 pbc="T T T"
Sn 3.012 -1.282 2.878
Sn 2.379 -0.105 -0.229
Sn 1.760 -3.303 0.232
Sn 1.126 -2.126 -2.876
Ru -0.107 -1.353 -0.491
Ru -0.321 -4.060 -1.472
```